SmIn7Cu5 after structural relaxation, computed with GGA-PBE.

Summary:
Magnetization ... 0.0000 μB/atom
Formation enthalpy at 0 K ... -0.089 eV/atom
VASP energy ... -45.64 eV per formula unit
Crystal system ... orthorhombic

Cell lengths 7.2564, 7.2564, 7.2564 Å; angles 134.58, 98.62, 98.53 degrees
Fractional positions:
Cu 0.2244 0.7244 0.5000
Cu 0.4955 0.0041 0.9963
Cu 0.0079 0.0041 0.5086
Cu 0.0079 0.4993 0.0037
Cu 0.4955 0.4993 0.4914
In 0.2135 0.5121 0.7014
In 0.6575 0.6575 0.0000
In 0.7750 0.2750 0.5000
In 0.8107 0.5121 0.2986
In 0.3353 0.3353 0.0000
In 0.3296 0.9880 0.3416
In 0.6464 0.9880 0.6584
Sm 0.0009 0.0009 0.0000



Cr3Cu2SbS8 after structural relaxation, computed with GGA-PBE.

Summary:
Magnetization ... 0.5867 μB/atom
Formation enthalpy at 0 K ... -0.824 eV/atom
VASP energy ... -81.89 eV per formula unit
Crystal system ... trigonal

Cell lengths 7.1968, 7.1968, 7.1968 Å; angles 58.69, 58.69, 58.69 degrees
Fractional positions:
Cu 0.3701 0.3701 0.3701
Cu 0.6299 0.6299 0.6299
S 0.2411 0.2411 0.2411
S 0.7589 0.7589 0.7589
S 0.7463 0.7463 0.2312
S 0.2312 0.7463 0.7463
S 0.7463 0.2312 0.7463
S 0.2537 0.7688 0.2537
S 0.7688 0.2537 0.2537
S 0.2537 0.2537 0.7688
Cr 0.5000 0.0000 0.0000
Cr 0.0000 0.5000 0.0000
Cr 0.0000 0.0000 0.5000
Sb 0.0000 0.0000 0.0000